Entry from Materials Project: a relaxed CoNiO2 crystal (GGA+U).

Results
* formation energy from the elements: -1001.0 meV per atom
* M_tot: 4.999 Bohr magnetons per cell
* SG: P4/mmm (123)

Cell: 3.014 3.014 4.222 Å, 90.00 90.00 90.00°
Fractional positions:
Co 0.000 0.000 0.000
Ni 0.500 0.500 0.500
O 0.000 0.000 0.500
O 0.500 0.500 0.000

=====

Entry from Materials Project: a relaxed CoNiO3 crystal (GGA+U).

Results
* formation energy from the elements: -1141.3 meV per atom
* M_tot: 0.000 Bohr magnetons per cell
* SG: P1 (1)

Cell: 4.885 4.886 5.333 Å, 90.35 116.84 119.28°
Fractional positions:
Co 0.000 0.000 0.000
Co 0.370 0.674 0.047
Ni 0.399 0.192 0.592
Ni 0.974 0.484 0.456
O 0.175 0.885 0.789
O 0.199 0.791 0.257
O 0.468 0.401 0.255
O 0.511 0.615 0.791
O 0.863 0.062 0.257
O 0.905 0.275 0.791

=====

Entry from Materials Project: a relaxed Co4NiO8 crystal (GGA+U).

Results
* formation energy from the elements: -1045.8 meV per atom
* energy above the most stable polymorph in this dataset: 0.0 meV/atom
* M_tot: 3.999 Bohr magnetons per cell
* SG: P-1 (2)

Cell: 5.621 5.629 5.808 Å, 90.12 117.46 119.81°
Fractional positions:
Co 0.000 0.000 0.000
Co 0.000 0.000 0.500
Co 0.000 0.500 0.000
Co 0.500 0.000 0.000
Ni 0.500 0.500 0.000
O 0.045 0.776 0.796
O 0.046 0.266 0.796
O 0.461 0.230 0.193
O 0.473 0.735 0.203
O 0.527 0.265 0.797
O 0.539 0.770 0.807
O 0.954 0.734 0.204
O 0.955 0.224 0.204

=====

Entry from Materials Project: a relaxed Co2NiO4 crystal (GGA+U).

Results
* formation energy from the elements: -915.1 meV per atom
* energy above the most stable polymorph in this dataset: 262.7 meV/atom
* M_tot: 14.009 Bohr magnetons per cell
* SG: P-1 (2)

Cell: 5.714 5.719 5.798 Å, 89.95 60.58 60.07°
Fractional positions:
Co 0.000 0.000 0.000
Co 0.000 0.000 0.500
Co 0.500 0.000 0.000
Co 0.500 0.500 0.000
Ni 0.252 0.375 0.620
Ni 0.748 0.625 0.380
O 0.029 0.208 0.233
O 0.029 0.762 0.234
O 0.469 0.766 0.796
O 0.474 0.763 0.235
O 0.526 0.237 0.765
O 0.531 0.234 0.204
O 0.971 0.238 0.766
O 0.971 0.792 0.767

=====

Entry from Materials Project: a relaxed Co2NiO6 crystal (GGA+U).

Results
* formation energy from the elements: -943.7 meV per atom
* M_tot: 0.002 Bohr magnetons per cell

Cell: 5.654 5.743 6.445 Å, 104.56 77.44 89.68°
Fractional positions:
Co 0.999 0.998 0.999
Co 0.332 0.665 0.664
Co 0.499 0.998 0.999
Co 0.832 0.665 0.664
Ni 0.666 0.331 0.331
Ni 0.166 0.331 0.331
O 0.242 0.220 0.024
O 0.742 0.220 0.024
O 0.089 0.442 0.639
O 0.589 0.442 0.639
O 0.409 0.553 0.354
O 0.909 0.553 0.354
O 0.423 0.110 0.308
O 0.923 0.110 0.308
O 0.075 0.888 0.689
O 0.575 0.888 0.689
O 0.257 0.775 0.973
O 0.757 0.775 0.973

=====

Entry from Materials Project: a relaxed CoNi2O4 crystal (GGA+U).

Results
* formation energy from the elements: -1074.4 meV per atom
* energy above the most stable polymorph in this dataset: 90.2 meV/atom
* M_tot: 19.999 Bohr magnetons per cell
* SG: P2_1/c (14)

Cell: 5.040 5.876 10.593 Å, 90.00 116.28 90.00°
Fractional positions:
Co 0.206 0.143 0.471
Co 0.206 0.357 0.971
Co 0.794 0.643 0.029
Co 0.794 0.857 0.529
Ni 0.218 0.630 0.470
Ni 0.218 0.870 0.970
Ni 0.492 0.620 0.748
Ni 0.492 0.880 0.248
Ni 0.508 0.120 0.752
Ni 0.508 0.380 0.252
Ni 0.782 0.130 0.030
Ni 0.782 0.370 0.530
O 0.051 0.633 0.625
O 0.051 0.867 0.125
O 0.063 0.111 0.615
O 0.063 0.389 0.115
O 0.477 0.122 0.387
O 0.477 0.378 0.887
O 0.498 0.133 0.113
O 0.498 0.367 0.613
O 0.502 0.633 0.387
O 0.502 0.867 0.887
O 0.523 0.622 0.113
O 0.523 0.878 0.613
O 0.937 0.611 0.885
O 0.937 0.889 0.385
O 0.949 0.133 0.875
O 0.949 0.367 0.375

=====

Entry from Materials Project: a relaxed CoNi2O4 crystal (GGA+U).

Results
* formation energy from the elements: -1164.6 meV per atom
* energy above the most stable polymorph in this dataset: 0.0 meV/atom
* SG: Fd-3m (227)

Cell: 5.844 5.844 5.844 Å, 60.00 60.00 60.00°
Fractional positions:
Co 0.125 0.125 0.125
Co 0.875 0.875 0.875
Ni 0.000 0.500 0.500
Ni 0.500 0.000 0.500
Ni 0.500 0.500 0.000
Ni 0.500 0.500 0.500
O 0.259 0.259 0.259
O 0.259 0.259 0.724
O 0.259 0.724 0.259
O 0.276 0.741 0.741
O 0.724 0.259 0.259
O 0.741 0.276 0.741
O 0.741 0.741 0.276
O 0.741 0.741 0.741

=====

Entry from Materials Project: a relaxed CoNiO3 crystal (GGA+U).

Results
* formation energy from the elements: -1141.7 meV per atom
* SG: R-3 (148)

Cell: 5.341 5.341 5.341 Å, 54.98 54.98 54.98°
Fractional positions:
Co 0.158 0.158 0.158
Co 0.842 0.842 0.842
Ni 0.356 0.356 0.356
Ni 0.644 0.644 0.644
O 0.054 0.441 0.773
O 0.227 0.946 0.559
O 0.441 0.773 0.054
O 0.559 0.227 0.946
O 0.773 0.054 0.441
O 0.946 0.559 0.227

=====

Entry from Materials Project: a relaxed CoNi4O8 crystal (GGA+U).

Results
* formation energy from the elements: -964.0 meV per atom
* M_tot: 5.001 Bohr magnetons per cell
* SG: C2/m (12)

Cell: 5.718 5.718 5.852 Å, 119.41 119.41 59.80°
Fractional positions:
Co 0.000 0.000 0.000
Ni 0.000 0.000 0.500
Ni 0.000 0.500 0.000
Ni 0.500 0.000 0.000
Ni 0.500 0.500 0.000
O 0.210 0.748 0.208
O 0.233 0.233 0.197
O 0.250 0.250 0.790
O 0.252 0.790 0.792
O 0.748 0.210 0.208
O 0.750 0.750 0.210
O 0.767 0.767 0.803
O 0.790 0.252 0.792

=====

Entry from Materials Project: a relaxed CoNiO3 crystal (GGA+U).

Results
* formation energy from the elements: -1118.1 meV per atom
* M_tot: 3.998 Bohr magnetons per cell
* SG: P1 (1)

Cell: 4.883 4.940 5.296 Å, 62.60 89.62 61.62°
Fractional positions:
Co 0.000 0.000 0.000
Co 0.313 0.386 0.936
Ni 0.507 0.983 0.532
Ni 0.800 0.404 0.403
O 0.102 0.190 0.198
O 0.196 0.211 0.729
O 0.391 0.503 0.207
O 0.571 0.503 0.718
O 0.707 0.916 0.191
O 0.937 0.861 0.737

=====

Entry from Materials Project: a relaxed Co2NiO4 crystal (GGA+U).

Results
* formation energy from the elements: -1172.9 meV per atom
* energy above the most stable polymorph in this dataset: 4.9 meV/atom
* M_tot: 4.000 Bohr magnetons per cell
* SG: P-1 (2)

Cell: 5.719 5.722 5.859 Å, 112.80 117.22 97.65°
Fractional positions:
Co 0.000 0.000 0.000
Co 0.000 0.000 0.500
Co 0.000 0.500 0.000
Co 0.500 0.000 0.500
Ni 0.348 0.597 0.750
Ni 0.652 0.403 0.250
O 0.217 0.757 0.485
O 0.227 0.268 0.984
O 0.241 0.212 0.460
O 0.252 0.780 0.038
O 0.748 0.220 0.962
O 0.759 0.788 0.540
O 0.773 0.732 0.016
O 0.783 0.243 0.515

=====

Entry from Materials Project: a relaxed Co2NiO4 crystal (GGA+U).

Results
* formation energy from the elements: -1177.8 meV per atom
* energy above the most stable polymorph in this dataset: 0.0 meV/atom
* M_tot: 2.000 Bohr magnetons per cell
* SG: P-1 (2)

Cell: 5.831 5.880 5.884 Å, 60.31 60.95 60.37°
Fractional positions:
Co 0.000 0.000 0.000
Co 0.000 0.000 0.500
Co 0.000 0.500 0.000
Co 0.500 0.000 0.000
Ni 0.379 0.387 0.361
Ni 0.621 0.613 0.639
O 0.208 0.747 0.792
O 0.223 0.279 0.765
O 0.247 0.795 0.217
O 0.249 0.253 0.210
O 0.751 0.747 0.790
O 0.753 0.205 0.783
O 0.777 0.721 0.235
O 0.792 0.253 0.208

=====

no.,E (eV per atom)
1,-5.31
2,-5.44
3,-5.60
4,-5.38
5,-5.36
6,-5.22
7,-5.31
8,-5.44
9,-5.00
10,-5.42
11,-5.63
12,-5.64